Below is an optimized crystal structure of K2TeO5, with properties calculated at the PBE-GGA level.

The space group is Immm (No. 71) and the conventional cell measures 6.651, 13.335 and 23.609 Å, with angles of 90.00, 90.00 and 90.00 degrees. The asymmetric unit holds K at (0.000, 0.000, 0.094), K at (0.000, 0.000, 0.236), K at (0.000, 0.285, 0.164), Te at (0.000, 0.383, 0.336), O at (0.000, 0.286, 0.397), O at (0.000, 0.289, 0.274), O at (0.000, 0.500, 0.281), O at (0.000, 0.500, 0.391) and O at (0.215, 0.125, 0.163).

The value obtained for the total energy is -37.52 eV per formula unit. The value obtained for the calculated formation energy is -1356 meV/atom. The volume is 32.7 Å³ per atom. The crystal system is orthorhombic.